## LaDyTl2 (r2SCAN)

Data for a geometry-optimized LaDyTl2 structure.

```
LaDyTl2
1.0
0.0000 3.8768 3.8768
3.8768 0.0000 3.8768
3.8768 3.8768 0.0000
La Dy Tl
1 1 2
Cartesian
0.0000 0.0000 0.0000
3.8768 3.8768 3.8768
1.9384 1.9384 1.9384
5.8152 5.8152 5.8152
```

Summary:
Density (g/cm3): 10.12
ΔH_f (0 K) (kJ/mol of formula units): -190
Total energy (eV/cell): -170.06
M_tot (μB/f.u.): 0.00